# Na6Ca6SiSn2S11O48, optimized geometry, DFT PBE
# total magnetization: 0.000 μB/atom
# energy: -458.02 eV/f.u.
data_Na6Ca6SiSn2S11O48
_chemical_formula_sum 'Na18 Ca18 Si3 Sn6 S33 O144'
_cell_length_a 9.157
_cell_length_b 15.888
_cell_length_c 23.771
_cell_angle_alpha 90.01
_cell_angle_beta 90.14
_cell_angle_gamma 90.15
_symmetry_space_group_name_H-M 'P 1'
_symmetry_Int_Tables_number 1
loop_
_symmetry_equiv_pos_as_xyz
'x,y,z'
loop_
_atom_site_label
_atom_site_type_symbol
_atom_site_fract_x
_atom_site_fract_y
_atom_site_fract_z
Na1 Na 0.000 0.000 0.000
Na2 Na 0.001 0.326 0.339
Na3 Na 0.307 0.680 0.749
Na4 Na 0.343 0.982 0.759
Na5 Na 0.360 0.326 0.101
Na6 Na 0.481 0.501 0.504
Na7 Na 0.482 0.828 0.838
Na8 Na 0.483 0.504 0.006
Na9 Na 0.485 0.162 0.183
Na10 Na 0.486 0.159 0.670
Na11 Na 0.500 0.825 0.340
Na12 Na 0.627 0.325 0.586
Na13 Na 0.669 0.336 0.918
Na14 Na 0.859 0.827 0.101
Na15 Na 0.982 0.662 0.664
Na16 Na 0.986 0.664 0.184
Na17 Na 0.988 0.990 0.503
Na18 Na 0.996 0.321 0.834
Ca1 Ca 0.481 0.152 0.516
Ca2 Ca 0.484 0.162 0.321
Ca3 Ca 0.484 0.825 0.983
Ca4 Ca 0.485 0.490 0.853
Ca5 Ca 0.485 0.496 0.656
Ca6 Ca 0.489 0.158 0.820
Ca7 Ca 0.489 0.492 0.157
Ca8 Ca 0.489 0.826 0.489
Ca9 Ca 0.490 0.152 0.024
Ca10 Ca 0.490 0.823 0.685
Ca11 Ca 0.984 0.663 0.321
Ca12 Ca 0.987 0.658 0.518
Ca13 Ca 0.988 0.991 0.157
Ca14 Ca 0.990 0.989 0.856
Ca15 Ca 0.991 0.326 0.687
Ca16 Ca 0.992 0.655 0.026
Ca17 Ca 0.993 0.322 0.487
Ca18 Ca 0.994 0.325 0.986
Si1 Si 0.136 0.841 0.757
Si2 Si 0.337 0.342 0.249
Si3 Si 0.836 0.841 0.249
Sn1 Sn 0.480 0.487 0.352
Sn2 Sn 0.492 0.826 0.193
Sn3 Sn 0.981 0.986 0.351
Sn4 Sn 0.986 0.664 0.821
Sn5 Sn 0.988 0.982 0.657
Sn6 Sn 0.993 0.326 0.194
S1 S 0.132 0.470 0.091
S2 S 0.134 0.136 0.752
S3 S 0.134 0.181 0.090
S4 S 0.136 0.814 0.419
S5 S 0.148 0.508 0.418
S6 S 0.177 0.150 0.417
S7 S 0.181 0.495 0.759
S8 S 0.201 0.824 0.091
S9 S 0.279 0.657 0.918
S10 S 0.285 0.987 0.255
S11 S 0.294 0.323 0.588
S12 S 0.327 0.977 0.593
S13 S 0.335 0.673 0.589
S14 S 0.338 0.008 0.920
S15 S 0.343 0.308 0.924
S16 S 0.346 0.642 0.255
S17 S 0.631 0.969 0.090
S18 S 0.632 0.681 0.089
S19 S 0.635 0.314 0.421
S20 S 0.640 0.340 0.755
S21 S 0.646 0.641 0.758
S22 S 0.649 0.008 0.418
S23 S 0.678 0.651 0.418
S24 S 0.693 0.993 0.752
S25 S 0.699 0.325 0.090
S26 S 0.785 0.487 0.255
S27 S 0.786 0.160 0.922
S28 S 0.795 0.829 0.590
S29 S 0.838 0.474 0.588
S30 S 0.840 0.802 0.922
S31 S 0.842 0.168 0.591
S32 S 0.843 0.512 0.918
S33 S 0.846 0.142 0.255
O1 O 0.060 0.881 0.698
O2 O 0.063 0.743 0.762
O3 O 0.063 0.902 0.414
O4 O 0.066 0.554 0.089
O5 O 0.071 0.427 0.142
O6 O 0.071 0.778 0.470
O7 O 0.072 0.096 0.095
O8 O 0.073 0.098 0.803
O9 O 0.076 0.221 0.039
O10 O 0.076 0.221 0.745
O11 O 0.079 0.223 0.422
O12 O 0.083 0.070 0.410
O13 O 0.085 0.422 0.753
O14 O 0.089 0.421 0.423
O15 O 0.089 0.576 0.765
O16 O 0.091 0.549 0.368
O17 O 0.099 0.081 0.700
O18 O 0.100 0.235 0.142
O19 O 0.100 0.420 0.040
O20 O 0.102 0.749 0.091
O21 O 0.105 0.765 0.369
O22 O 0.107 0.900 0.094
O23 O 0.115 0.903 0.809
O24 O 0.122 0.557 0.470
O25 O 0.150 0.336 0.250
O26 O 0.159 0.985 0.596
O27 O 0.174 0.665 0.585
O28 O 0.176 0.000 0.922
O29 O 0.183 0.321 0.925
O30 O 0.185 0.650 0.968
O31 O 0.188 0.650 0.261
O32 O 0.188 0.664 0.864
O33 O 0.192 0.975 0.307
O34 O 0.198 0.999 0.204
O35 O 0.203 0.330 0.538
O36 O 0.205 0.315 0.640
O37 O 0.261 0.136 0.469
O38 O 0.270 0.513 0.709
O39 O 0.271 0.160 0.368
O40 O 0.272 0.486 0.809
O41 O 0.291 0.829 0.041
O42 O 0.294 0.476 0.093
O43 O 0.294 0.816 0.144
O44 O 0.295 0.827 0.425
O45 O 0.297 0.137 0.753
O46 O 0.297 0.179 0.089
O47 O 0.312 0.826 0.749
O48 O 0.317 0.502 0.414
O49 O 0.355 0.925 0.543
O50 O 0.368 0.406 0.306
O51 O 0.368 0.716 0.644
O52 O 0.370 0.734 0.919
O53 O 0.370 0.904 0.251
O54 O 0.371 0.581 0.915
O55 O 0.378 0.595 0.204
O56 O 0.379 0.258 0.874
O57 O 0.381 0.058 0.969
O58 O 0.382 0.940 0.645
O59 O 0.387 0.047 0.867
O60 O 0.387 0.056 0.262
O61 O 0.389 0.381 0.190
O62 O 0.390 0.063 0.587
O63 O 0.392 0.399 0.592
O64 O 0.395 0.248 0.585
O65 O 0.396 0.720 0.541
O66 O 0.398 0.268 0.976
O67 O 0.403 0.249 0.257
O68 O 0.404 0.588 0.590
O69 O 0.406 0.923 0.922
O70 O 0.413 0.730 0.250
O71 O 0.417 0.604 0.306
O72 O 0.421 0.392 0.921
O73 O 0.563 0.401 0.415
O74 O 0.565 0.053 0.089
O75 O 0.569 0.927 0.142
O76 O 0.570 0.256 0.756
O77 O 0.571 0.596 0.094
O78 O 0.575 0.721 0.038
O79 O 0.576 0.279 0.474
O80 O 0.580 0.601 0.808
O81 O 0.580 0.724 0.423
O82 O 0.581 0.726 0.753
O83 O 0.584 0.384 0.705
O84 O 0.584 0.570 0.411
O85 O 0.589 0.921 0.423
O86 O 0.590 0.049 0.368
O87 O 0.596 0.067 0.753
O88 O 0.599 0.734 0.141
O89 O 0.599 0.918 0.040
O90 O 0.600 0.262 0.372
O91 O 0.600 0.917 0.747
O92 O 0.602 0.250 0.089
O93 O 0.606 0.387 0.808
O94 O 0.606 0.401 0.093
O95 O 0.623 0.591 0.707
O96 O 0.624 0.056 0.470
O97 O 0.649 0.836 0.250
O98 O 0.674 0.477 0.592
O99 O 0.679 0.808 0.921
O100 O 0.680 0.162 0.585
O101 O 0.682 0.501 0.914
O102 O 0.688 0.150 0.262
O103 O 0.692 0.475 0.307
O104 O 0.693 0.168 0.872
O105 O 0.697 0.154 0.974
O106 O 0.698 0.499 0.204
O107 O 0.705 0.841 0.539
O108 O 0.709 0.821 0.641
O109 O 0.763 0.637 0.470
O110 O 0.770 0.661 0.368
O111 O 0.783 0.986 0.803
O112 O 0.785 0.331 0.037
O113 O 0.787 0.004 0.700
O114 O 0.793 0.975 0.094
O115 O 0.795 0.326 0.425
O116 O 0.796 0.679 0.088
O117 O 0.797 0.317 0.141
O118 O 0.802 0.331 0.753
O119 O 0.811 0.648 0.765
O120 O 0.817 0.002 0.414
O121 O 0.866 0.905 0.306
O122 O 0.870 0.222 0.641
O123 O 0.870 0.404 0.251
O124 O 0.870 0.420 0.538
O125 O 0.874 0.240 0.924
O126 O 0.875 0.749 0.870
O127 O 0.876 0.561 0.969
O128 O 0.878 0.095 0.203
O129 O 0.885 0.086 0.920
O130 O 0.887 0.911 0.593
O131 O 0.888 0.556 0.262
O132 O 0.889 0.880 0.190
O133 O 0.895 0.756 0.585
O134 O 0.896 0.434 0.640
O135 O 0.896 0.761 0.973
O136 O 0.899 0.560 0.583
O137 O 0.902 0.749 0.257
O138 O 0.904 0.556 0.866
O139 O 0.907 0.204 0.540
O140 O 0.908 0.081 0.599
O141 O 0.908 0.886 0.917
O142 O 0.909 0.427 0.919
O143 O 0.913 0.230 0.251
O144 O 0.918 0.104 0.306

# AlB2Pb6O7F7, optimized geometry, DFT PBE
# total magnetization: 0.000 μB/atom
# energy: -137.37 eV/f.u.
data_AlB2Pb6O7F7
_chemical_formula_sum 'Al4 B8 Pb24 O28 F28'
_cell_length_a 11.904
_cell_length_b 18.658
_cell_length_c 6.375
_cell_angle_alpha 90.00
_cell_angle_beta 90.00
_cell_angle_gamma 90.00
_symmetry_space_group_name_H-M 'C m c 21'
_symmetry_Int_Tables_number 36
loop_
_symmetry_equiv_pos_as_xyz
'x,y,z'
'-x,-y,z+1/2'
'-x,y,z'
'x,-y,z+1/2'
'x+1/2,y+1/2,z'
'-x+1/2,-y+1/2,z+1/2'
'-x+1/2,y+1/2,z'
'x+1/2,-y+1/2,z+1/2'
loop_
_atom_site_label
_atom_site_type_symbol
_atom_site_fract_x
_atom_site_fract_y
_atom_site_fract_z
Al1 Al 0.000 0.245 0.000
B1 B 0.246 0.497 0.276
Pb1 Pb 0.000 0.065 0.001
Pb2 Pb 0.000 0.447 0.026
Pb3 Pb 0.154 0.150 0.552
Pb4 Pb 0.172 0.357 0.527
O1 O 0.000 0.171 0.794
O2 O 0.143 0.464 0.312
O3 O 0.158 0.045 0.752
O4 O 0.246 0.071 0.270
F1 F 0.000 0.090 0.419
F2 F 0.000 0.318 0.210
F3 F 0.000 0.411 0.624
F4 F 0.111 0.198 0.151
F5 F 0.111 0.298 0.863

# Mg149Fe, optimized geometry, DFT PBE
# total magnetization: 0.001 μB/atom
# energy: -249.07 eV/f.u.
data_Mg149Fe
_chemical_formula_sum 'Mg149 Fe1'
_cell_length_a 15.9386
_cell_length_b 15.9386
_cell_length_c 15.6758
_cell_angle_alpha 90.00
_cell_angle_beta 90.00
_cell_angle_gamma 120.00
_symmetry_space_group_name_H-M 'P -6 m 2'
_symmetry_Int_Tables_number 187
_symmetry_space_group_name_Hall 'P -6 2'
loop_
_atom_site_label
_atom_site_type_symbol
_atom_site_fract_x
_atom_site_fract_y
_atom_site_fract_z
Mg1 Mg 0.0000 0.0000 0.0000
Mg2 Mg 0.0000 0.0000 0.3334
Mg3 Mg 0.0000 0.1996 0.0000
Mg4 Mg 0.9999 0.1997 0.3334
Mg5 Mg 0.0004 0.4000 0.0000
Mg6 Mg 0.0020 0.4018 0.3344
Mg7 Mg 0.1335 0.2669 0.1666
Mg8 Mg 0.1337 0.0669 0.1667
Mg9 Mg 0.1339 0.0670 0.5000
Mg10 Mg 0.1342 0.4679 0.1688
Mg11 Mg 0.1345 0.2690 0.5000
Mg12 Mg 0.1444 0.4761 0.5000
Mg13 Mg 0.1992 0.3984 0.3331
Mg14 Mg 0.2001 0.4002 0.0000
Mg15 Mg 0.1999 0.6000 0.0000
Mg16 Mg 0.2067 0.6033 0.3429
Mg17 Mg 0.3331 0.0638 0.5000
Mg18 Mg 0.3334 0.0662 0.1670
Mg19 Mg 0.3333 0.6667 0.1681
Mg20 Mg 0.3994 0.1997 0.0000
Mg21 Mg 0.3999 0.2000 0.3337
Mg22 Mg 0.5319 0.0639 0.5000
Mg23 Mg 0.5334 0.0668 0.1667
Mg24 Mg 0.5333 0.2666 0.1665
Mg25 Mg 0.5330 0.2665 0.5000
Mg26 Mg 0.5999 0.1997 0.0000
Mg27 Mg 0.5999 0.1997 0.3335
Fe1 Fe 0.3333 0.6667 0.5000